Sm2TeO6: optimized geometry, PBE-GGA.

a = 5.420 Å, b = 9.312 Å, c = 10.200 Å
α = 90.00°, β = 90.00°, γ = 90.00°
Positions (direct):
Sm: 0.025 0.396 0.042
Sm: 0.034 0.283 0.638
Sm: 0.466 0.717 0.138
Sm: 0.475 0.604 0.542
Sm: 0.525 0.104 0.958
Sm: 0.534 0.217 0.362
Sm: 0.966 0.783 0.862
Sm: 0.975 0.896 0.458
Te: 0.041 0.005 0.143
Te: 0.459 0.995 0.643
Te: 0.541 0.495 0.857
Te: 0.959 0.505 0.357
O: 0.076 0.652 0.477
O: 0.169 0.553 0.211
O: 0.183 0.862 0.258
O: 0.189 0.860 0.676
O: 0.224 0.387 0.436
O: 0.248 0.914 0.007
O: 0.252 0.086 0.507
O: 0.276 0.613 0.936
O: 0.311 0.140 0.176
O: 0.317 0.138 0.758
O: 0.331 0.447 0.711
O: 0.424 0.348 0.977
O: 0.576 0.848 0.523
O: 0.669 0.947 0.789
O: 0.683 0.638 0.742
O: 0.689 0.640 0.324
O: 0.724 0.113 0.564
O: 0.748 0.586 0.993
O: 0.752 0.414 0.493
O: 0.776 0.887 0.064
O: 0.811 0.360 0.824
O: 0.817 0.362 0.242
O: 0.831 0.053 0.289
O: 0.924 0.152 0.023

Properties
The energy above the most stable polymorph in this dataset comes out at 0.0 meV per atom. The formation energy comes out at -2584.8 kJ/mol of formula units. The space group is P2_12_12_1. Its crystal system is orthorhombic.